## one
Computed, not measured: Al2H18SO15 after structural relaxation at the PBE level of DFT.

Summary:
Spin magnetization, Bohr magnetons per cell: 0.07

a = 7.9318 Å, b = 16.3203 Å, c = 12.5108 Å
α = 90.00°, β = 111.40°, γ = 90.00°
Last column: nearest neighbours and their distance in Å.
Space group P2_1/c (No. 14)
One atom of each set of equivalent atoms:
Al 0.0960 0.0467 0.1893  4 O 1.72-1.81
Al 0.2397 0.5835 0.5437  3 O 1.69-1.79
H 0.0299 0.5388 0.1506  1 O 1.01
H 0.1035 0.7056 0.3161  1 O 0.97
H 0.1113 0.5397 0.8602  1 O 1.03
H 0.1364 0.2431 0.8298  1 O 1.02
H 0.1512 0.7162 0.2022  1 O 0.99
H 0.1776 0.1586 0.8855  1 O 0.97
H 0.2347 0.2460 0.0292  1 O 0.99
H 0.2532 0.1800 0.1871  1 O 1.02
H 0.2541 0.1916 0.6288  1 O 0.97
H 0.2827 0.5980 0.3444  1 O 0.99
H 0.3438 0.7259 0.5868  1 O 1.14
H 0.3770 0.5691 0.2631  1 O 0.98
H 0.3782 0.1244 0.3064  1 O 1.03
H 0.3879 0.0578 0.6467  1 H 0.75
H 0.3989 0.7007 0.8748  1 H 0.75
H 0.4533 0.7376 0.8714  1 H 0.75
H 0.4651 0.1711 0.9029  1 O 1.00
H 0.4671 0.0851 0.6782  1 H 0.75
S 0.2729 0.6245 0.0490  4 O 1.48-1.53
O 0.0560 0.0134 0.3163  2 H 1.01-1.03
O 0.0591 0.7248 0.2369  2 H 0.97-0.99
O 0.0980 0.5969 0.4033  2 Al 1.72-1.75, 1 H 1.86
O 0.1737 0.5405 0.6449  2 Al 1.69-1.72
O 0.1788 0.6195 0.9229  1 S 1.48, 1 H 1.51
O 0.1939 0.5654 0.1081  1 S 1.49, 1 H 1.63
O 0.2100 0.2460 0.6008  2 H 0.97-0.99
O 0.2344 0.0787 0.0011  1 O 1.26
O 0.2412 0.2096 0.8844  2 H 0.97-1.02
O 0.2473 0.7102 0.0897  1 H 1.30
O 0.2612 0.1283 0.2351  2 H 1.02-1.03
O 0.3429 0.0226 0.9993  1 O 1.26
O 0.4037 0.5928 0.3395  2 H 0.98-0.99
O 0.4060 0.6630 0.5888  1 H 1.00
O 0.4688 0.6088 0.0813  1 S 1.48, 1 H 1.51

=====

## two
Computed, not measured: Al2H18SO15 after structural relaxation at the PBE level of DFT.

Summary:
Spin magnetization, Bohr magnetons per cell: 7.99

a = 8.1404 Å, b = 16.8817 Å, c = 12.8539 Å
α = 90.00°, β = 113.21°, γ = 90.00°
Last column: nearest neighbours and their distance in Å.
Space group P2_1/c (No. 14)
One atom of each set of equivalent atoms:
Al 0.0954 0.0382 0.1906  4 O 1.73-1.82
Al 0.2051 0.5965 0.5483  3 O 1.70-1.75
H 0.0182 0.5405 0.1493  1 O 1.00
H 0.0519 0.6979 0.2909  1 O 0.98
H 0.0759 0.7029 0.1749  1 O 0.99
H 0.1027 0.5395 0.8616  1 O 1.04
H 0.1885 0.2430 0.8476  1 O 1.01
H 0.2190 0.1524 0.8640  1 O 0.97
H 0.2544 0.5933 0.3550  1 O 0.99
H 0.2683 0.2187 0.0279  1 O 0.99
H 0.2737 0.1551 0.1792  1 O 1.03
H 0.2738 0.2215 0.6234  1 O 0.97
H 0.2853 0.7474 0.5889  1 O 1.11
H 0.3158 0.5750 0.2567  1 O 0.98
H 0.3668 0.7104 0.8608  1 H 0.75
H 0.3703 0.0767 0.6512  1 H 0.75
H 0.3934 0.7484 0.3511  1 H 0.75
H 0.3938 0.1091 0.3024  1 O 1.02
H 0.4486 0.1041 0.6780  1 H 0.75
H 0.4783 0.6817 0.5929  1 O 0.99
S 0.2532 0.6191 0.0480  4 O 1.47-1.57
O 0.0136 0.1997 0.2911  2 H 0.98-0.99
O 0.0612 0.0137 0.3189  2 H 1.00-1.04
O 0.0805 0.5928 0.4052  2 Al 1.72-1.74, 1 H 1.77
O 0.1385 0.5520 0.6434  2 Al 1.70-1.73
O 0.1527 0.6166 0.9243  1 S 1.47, 1 H 1.50
O 0.1925 0.5575 0.1067  1 S 1.48
O 0.2063 0.6993 0.0909  1 H 1.11
O 0.2346 0.2256 0.0938  2 H 0.97-0.99
O 0.2822 0.2022 0.8901  2 H 0.97-1.01
O 0.2842 0.1058 0.2283  2 H 1.02-1.03
O 0.2989 0.0586 0.9973  1 O 1.24
O 0.3567 0.6757 0.5913  1 H 0.99
O 0.3620 0.5900 0.3372  2 H 0.98-0.99
O 0.3759 0.5012 0.5503  1 O 1.24
O 0.4472 0.6175 0.0790  1 S 1.47, 1 H 1.57

=====

## three
Computed, not measured: Al2H18SO15 after structural relaxation at the PBE level of DFT.

Summary:
Spin magnetization, Bohr magnetons per cell: 0.03

a = 7.5410 Å, b = 15.8065 Å, c = 11.7829 Å
α = 90.00°, β = 110.60°, γ = 90.00°
Last column: nearest neighbours and their distance in Å.
Space group P2_1/c (No. 14)
One atom of each set of equivalent atoms:
Al 0.0725 0.0341 0.1278  6 O 1.84-1.98
Al 0.3432 0.5469 0.5238  6 O 1.88-2.06
H 0.0630 0.5331 0.1946  1 O 0.99
H 0.0709 0.2171 0.8274  1 O 1.00
H 0.0982 0.5384 0.8395  1 O 1.00
H 0.1253 0.1924 0.6066  1 O 0.98
H 0.1366 0.6592 0.3766  1 O 0.99
H 0.1396 0.0984 0.9439  1 O 1.00
H 0.1779 0.7027 0.8395  1 O 0.99
H 0.1954 0.2330 0.9683  1 O 1.00
H 0.2066 0.7373 0.2350  1 O 1.00
H 0.2490 0.1825 0.1736  1 O 1.00
H 0.3382 0.1733 0.6247  1 O 1.02
H 0.3397 0.1191 0.2893  1 O 1.00
H 0.3497 0.5638 0.7374  1 O 0.99
H 0.3774 0.0373 0.6309  1 O 0.99
H 0.3899 0.1681 0.9045  1 O 1.01
H 0.3958 0.5427 0.3187  1 O 0.97
H 0.4048 0.7028 0.5927  1 O 0.99
H 0.4793 0.0877 0.5532  1 O 1.00
S 0.2966 0.6248 0.0713  4 O 1.49-1.50
O 0.0360 0.0066 0.2794  2 H 0.99-1.00
O 0.1282 0.0411 0.9768  1 H 1.00
O 0.1276 0.7482 0.2858  2 H 0.99-1.00
O 0.1317 0.6063 0.4202  1 H 0.99
O 0.1653 0.6202 0.9424  1 S 1.50
O 0.1792 0.1947 0.8981  2 H 1.00
O 0.2412 0.1250 0.2063  2 H 1.00
O 0.2412 0.2208 0.6083  2 H 0.98-1.02
O 0.2469 0.5577 0.1452  1 S 1.50
O 0.2584 0.5470 0.6574  1 H 0.99
O 0.2864 0.7100 0.1217  1 S 1.49
O 0.4460 0.5235 0.4026  1 H 0.97
O 0.4574 0.0872 0.6325  2 H 0.99-1.00
O 0.4742 0.6525 0.5797  2 H 0.99-1.01
O 0.4948 0.6084 0.0761  1 S 1.50, 2 H 1.64-1.65

=====

Name the least stable of them. one.